[1]
FeNi3: optimized geometry, PBE-GGA.

```
data_FeNi3
_chemical_formula_sum 'Fe3 Ni9'
_space_group_name_H-M_alt 'R -3 m'
_space_group_IT_number 166
_space_group_name_Hall '-R 3 2"'
_cell_length_a 2.4987
_cell_length_b 2.4987
_cell_length_c 24.5162
_cell_angle_alpha 90.00
_cell_angle_beta 90.00
_cell_angle_gamma 120.00
loop_
_atom_site_label
_atom_site_fract_x
_atom_site_fract_y
_atom_site_fract_z
Fe1 0.0000 0.0000 0.0000
Ni1 0.0000 0.0000 0.2503
Ni2 0.0000 0.0000 0.5000
```

- total moment (μB per cell) = 12.81


[2]
Zr2Au: optimized geometry, PBE-GGA.

```
data_Zr2Au
_chemical_formula_sum 'Zr4 Au2'
_space_group_name_H-M_alt 'I 4/m m m'
_space_group_IT_number 139
_space_group_name_Hall '-I 4 2'
_cell_length_a 3.309
_cell_length_b 3.309
_cell_length_c 11.757
_cell_angle_alpha 90.00
_cell_angle_beta 90.00
_cell_angle_gamma 90.00
loop_
_atom_site_label
_atom_site_fract_x
_atom_site_fract_y
_atom_site_fract_z
Zr1 0.000 0.000 0.161
Au1 0.000 0.000 0.500
```


[3]
MgTe2Mo2W2Se4S2: optimized geometry, PBE-GGA.

```
data_MgTe2Mo2W2Se4S2
_chemical_formula_sum 'Mg1 Te2 Mo2 W2 Se4 S2'
_space_group_name_H-M_alt 'P 3 m 1'
_space_group_IT_number 156
_space_group_name_Hall 'P 3 -2"'
_cell_length_a 3.3379
_cell_length_b 3.3379
_cell_length_c 44.8758
_cell_angle_alpha 90.00
_cell_angle_beta 90.00
_cell_angle_gamma 120.00
loop_
_atom_site_label
_atom_site_fract_x
_atom_site_fract_y
_atom_site_fract_z
Mg1 0.0000 0.0000 0.0000
Te1 0.3333 0.6667 0.4271
Te2 0.3333 0.6667 0.5122
Mo1 0.3333 0.6667 0.8990
Mo2 0.6667 0.3333 0.1004
W1 0.3333 0.6667 0.2815
W2 0.6667 0.3333 0.4696
Se1 0.3333 0.6667 0.0628
Se2 0.3333 0.6667 0.1375
Se3 0.6667 0.3333 0.8619
Se4 0.6667 0.3333 0.9366
S1 0.6667 0.3333 0.2476
S2 0.6667 0.3333 0.3155
```

- total moment (μB per cell) = 0.00
- E (MP2020) (eV per atom) = -6.5035


[4]
HoAl2Si2: optimized geometry, PBE-GGA.

```
data_HoAl2Si2
_chemical_formula_sum 'Ho1 Al2 Si2'
_space_group_name_H-M_alt 'P -3 m 1'
_space_group_IT_number 164
_space_group_name_Hall '-P 3 2"'
_cell_length_a 4.2154
_cell_length_b 4.2154
_cell_length_c 6.5073
_cell_angle_alpha 90.00
_cell_angle_beta 90.00
_cell_angle_gamma 120.00
loop_
_atom_site_label
_atom_site_fract_x
_atom_site_fract_y
_atom_site_fract_z
Ho1 0.0000 0.0000 0.0000
Al1 0.3333 0.6667 0.6450
Si1 0.3333 0.6667 0.2585
```

- total moment (μB per cell) = 0.00
- E (MP2020) (eV per atom) = -4.9223


[5]
Er2TiO5: optimized geometry, PBE-GGA.

```
data_Er2TiO5
_chemical_formula_sum 'Er8 Ti4 O20'
_space_group_name_H-M_alt 'C m c m'
_space_group_IT_number 63
_space_group_name_Hall '-C 2c 2'
_cell_length_a 4.072
_cell_length_b 10.952
_cell_length_c 10.451
_cell_angle_alpha 90.00
_cell_angle_beta 90.00
_cell_angle_gamma 90.00
loop_
_atom_site_label
_atom_site_fract_x
_atom_site_fract_y
_atom_site_fract_z
Er1 0.000 0.143 0.069
Ti1 0.000 0.173 0.750
O1 0.000 0.052 0.623
O2 0.000 0.272 0.250
O3 0.000 0.292 0.590
```

- total moment (μB per cell) = 0.00
- E (MP2020) (eV per atom) = -9.0508


[6]
Mg4SiSn: optimized geometry, PBE-GGA.

```
data_Mg4SiSn
_chemical_formula_sum 'Mg16 Si4 Sn4'
_space_group_name_H-M_alt 'F -4 3 m'
_space_group_IT_number 216
_space_group_name_Hall 'F -4 2 3'
_cell_length_a 8.120
_cell_length_b 8.120
_cell_length_c 8.120
_cell_angle_alpha 90.00
_cell_angle_beta 90.00
_cell_angle_gamma 90.00
loop_
_atom_site_label
_atom_site_fract_x
_atom_site_fract_y
_atom_site_fract_z
Mg1 0.125 0.125 0.125
Si1 0.000 0.000 0.500
Sn1 0.250 0.250 0.750
```


[7]
FeNiMo: optimized geometry, PBE-GGA.

```
data_FeNiMo
_chemical_formula_sum 'Fe4 Ni4 Mo4'
_space_group_name_H-M_alt 'F -4 3 m'
_space_group_IT_number 216
_space_group_name_Hall 'F -4 2 3'
_cell_length_a 5.579
_cell_length_b 5.579
_cell_length_c 5.579
_cell_angle_alpha 90.00
_cell_angle_beta 90.00
_cell_angle_gamma 90.00
loop_
_atom_site_label
_atom_site_fract_x
_atom_site_fract_y
_atom_site_fract_z
Fe1 0.000 0.000 0.000
Ni1 0.250 0.250 0.250
Mo1 0.250 0.250 0.750
```

- total moment (μB per cell) = 2.19


[8]
Na5Mg2Ge2P5SO24: optimized geometry, PBE-GGA.

```
data_Na5Mg2Ge2P5SO24
_chemical_formula_sum 'Na15 Mg6 Ge6 P15 S3 O72'
_space_group_name_H-M_alt 'P 1'
_space_group_IT_number 1
_space_group_name_Hall 'P 1'
_cell_length_a 8.677
_cell_length_b 8.708
_cell_length_c 21.917
_cell_angle_alpha 89.39
_cell_angle_beta 89.79
_cell_angle_gamma 60.13
loop_
_atom_site_label
_atom_site_fract_x
_atom_site_fract_y
_atom_site_fract_z
Na1 0.000 0.000 0.000
Na2 0.003 0.637 0.261
Na3 0.035 0.299 0.175
Na4 0.326 0.608 0.834
Na5 0.334 0.970 0.590
Na6 0.337 0.957 0.090
Na7 0.368 0.631 0.505
Na8 0.376 0.267 0.000
Na9 0.627 0.641 0.005
Na10 0.639 0.006 0.504
Na11 0.656 0.945 0.174
Na12 0.669 0.302 0.418
Na13 0.672 0.290 0.915
Na14 0.991 0.278 0.504
Na15 0.996 0.638 0.752
Mg1 0.000 0.643 0.896
Mg2 0.334 0.970 0.235
Mg3 0.334 0.973 0.934
Mg4 0.664 0.305 0.070
Mg5 0.665 0.305 0.571
Mg6 0.996 0.638 0.398
Ge1 0.000 0.637 0.607
Ge2 0.002 0.649 0.108
Ge3 0.324 0.982 0.732
Ge4 0.330 0.982 0.434
Ge5 0.672 0.287 0.765
Ge6 0.674 0.295 0.271
P1 0.003 0.925 0.501
P2 0.036 0.982 0.834
P3 0.037 0.265 0.333
P4 0.287 0.350 0.501
P5 0.290 0.637 0.002
P6 0.339 0.259 0.833
P7 0.372 0.602 0.670
P8 0.374 0.312 0.168
P9 0.626 0.975 0.333
P10 0.666 0.004 0.668
P11 0.667 0.594 0.167
P12 0.709 0.641 0.502
P13 0.713 0.926 0.003
P14 0.958 0.307 0.669
P15 0.960 0.011 0.168
S1 0.000 0.350 0.003
S2 0.338 0.677 0.335
S3 0.626 0.676 0.834
O1 0.018 0.445 0.341
O2 0.020 0.814 0.835
O3 0.033 0.426 0.060
O4 0.049 0.802 0.560
O5 0.107 0.014 0.893
O6 0.119 0.143 0.394
O7 0.143 0.177 0.276
O8 0.144 0.989 0.176
O9 0.148 0.139 0.678
O10 0.161 0.171 0.999
O11 0.164 0.426 0.560
O12 0.165 0.674 0.060
O13 0.170 0.941 0.779
O14 0.177 0.446 0.836
O15 0.179 0.940 0.496
O16 0.181 0.481 0.163
O17 0.182 0.657 0.342
O18 0.183 0.618 0.666
O19 0.207 0.465 0.447
O20 0.211 0.602 0.946
O21 0.303 0.159 0.497
O22 0.305 0.806 0.999
O23 0.312 0.165 0.778
O24 0.315 0.785 0.282
O25 0.345 0.152 0.176
O26 0.352 0.789 0.680
O27 0.372 0.754 0.393
O28 0.377 0.155 0.893
O29 0.459 0.481 0.728
O30 0.461 0.346 0.225
O31 0.476 0.320 0.510
O32 0.477 0.475 0.008
O33 0.480 0.528 0.612
O34 0.481 0.277 0.110
O35 0.499 0.985 0.679
O36 0.504 0.498 0.332
O37 0.506 0.011 0.394
O38 0.510 0.283 0.825
O39 0.512 0.781 0.175
O40 0.517 0.815 0.496
O41 0.518 0.748 0.890
O42 0.526 0.944 0.001
O43 0.539 0.792 0.780
O44 0.541 0.952 0.277
O45 0.630 0.114 0.611
O46 0.633 0.154 0.330
O47 0.637 0.499 0.828
O48 0.646 0.516 0.108
O49 0.679 0.482 0.511
O50 0.694 0.110 0.008
O51 0.705 0.088 0.725
O52 0.711 0.465 0.224
O53 0.786 0.686 0.560
O54 0.794 0.806 0.064
O55 0.804 0.655 0.839
O56 0.810 0.818 0.341
O57 0.825 0.604 0.447
O58 0.831 0.094 0.223
O59 0.831 0.836 0.949
O60 0.836 0.340 0.726
O61 0.837 0.818 0.664
O62 0.841 0.329 0.008
O63 0.845 0.112 0.510
O64 0.846 0.607 0.164
O65 0.847 0.278 0.330
O66 0.850 0.153 0.824
O67 0.884 0.119 0.109
O68 0.887 0.273 0.611
O69 0.967 0.825 0.165
O70 0.970 0.843 0.447
O71 0.971 0.462 0.950
O72 0.978 0.476 0.665
```

- total moment (μB per cell) = 0.00
- E (MP2020) (eV per atom) = -6.8547


[9]
Rb3Mo15Se17: optimized geometry, PBE-GGA.

```
data_Rb3Mo15Se17
_chemical_formula_sum 'Rb6 Mo30 Se34'
_space_group_name_H-M_alt 'P 63/m'
_space_group_IT_number 176
_space_group_name_Hall '-P 6c'
_cell_length_a 9.7146
_cell_length_b 9.7146
_cell_length_c 21.1921
_cell_angle_alpha 90.00
_cell_angle_beta 90.00
_cell_angle_gamma 120.00
loop_
_atom_site_label
_atom_site_fract_x
_atom_site_fract_y
_atom_site_fract_z
Rb1 0.0000 0.0000 0.1379
Rb2 0.3333 0.6667 0.2500
Mo1 0.1648 0.6446 0.5349
Mo2 0.1662 0.6479 0.7500
Mo3 0.1831 0.4992 0.6432
Se1 0.0066 0.6312 0.6423
Se2 0.0403 0.3351 0.7500
Se3 0.0438 0.3373 0.5429
Se4 0.3333 0.6667 0.0607
```

- total moment (μB per cell) = 0.01
- E (MP2020) (eV per atom) = -7.3082


[10]
Mn3Sn: optimized geometry, PBE-GGA.

```
data_Mn3Sn
_chemical_formula_sum 'Mn12 Sn4'
_space_group_name_H-M_alt 'F m -3 m'
_space_group_IT_number 225
_space_group_name_Hall '-F 4 2 3'
_cell_length_a 6.121
_cell_length_b 6.121
_cell_length_c 6.121
_cell_angle_alpha 90.00
_cell_angle_beta 90.00
_cell_angle_gamma 90.00
loop_
_atom_site_label
_atom_site_fract_x
_atom_site_fract_y
_atom_site_fract_z
Mn1 0.000 0.000 0.000
Mn2 0.250 0.250 0.250
Sn1 0.000 0.000 0.500
```

- total moment (μB per cell) = 28.56


[11]
IrN2Cl6: optimized geometry, PBE-GGA.

```
data_IrN2Cl6
_chemical_formula_sum 'Ir4 N8 Cl24'
_space_group_name_H-M_alt 'F m -3 m'
_space_group_IT_number 225
_space_group_name_Hall '-F 4 2 3'
_cell_length_a 9.789
_cell_length_b 9.789
_cell_length_c 9.789
_cell_angle_alpha 90.00
_cell_angle_beta 90.00
_cell_angle_gamma 90.00
loop_
_atom_site_label
_atom_site_fract_x
_atom_site_fract_y
_atom_site_fract_z
Ir1 0.000 0.000 0.000
N1 0.250 0.250 0.250
Cl1 0.000 0.000 0.235
```

- total moment (μB per cell) = 12.00
- E (MP2020) (eV per atom) = -3.5079


[12]
DyOF: optimized geometry, PBE-GGA.

```
data_DyOF
_chemical_formula_sum 'Dy6 O6 F6'
_space_group_name_H-M_alt 'R -3 m'
_space_group_IT_number 166
_space_group_name_Hall '-R 3 2"'
_cell_length_a 3.8214
_cell_length_b 3.8214
_cell_length_c 19.1133
_cell_angle_alpha 90.00
_cell_angle_beta 90.00
_cell_angle_gamma 120.00
loop_
_atom_site_label
_atom_site_fract_x
_atom_site_fract_y
_atom_site_fract_z
Dy1 0.0000 0.0000 0.2409
O1 0.0000 0.0000 0.1219
F1 0.0000 0.0000 0.3700
```

- E (MP2020) (eV per atom) = -8.0957


Number 1: formation energy -0.26 kcal/mol of atoms. Number 2: formation energy -9.62 kcal/mol of atoms. Number 3: formation energy -12.05 kcal/mol of atoms. Number 4: formation energy -7.78 kcal/mol of atoms. Number 5: formation energy -88.31 kcal/mol of atoms. Number 6: formation energy 5.48 kcal/mol of atoms. Number 7: formation energy 12.90 kcal/mol of atoms. Number 8: formation energy -58.14 kcal/mol of atoms. Number 9: formation energy -20.25 kcal/mol of atoms. Number 10: formation energy 5.14 kcal/mol of atoms. Number 11: formation energy 12.89 kcal/mol of atoms. Number 12: formation energy -98.53 kcal/mol of atoms.